The following is a PBE calculation of crystalline Ti3Zn3N at its relaxed geometry, from the Materials Project database.

Results
The formation energy is -767 meV/atom.

POSCAR file:
```
Ti3Zn3N
1.0
0.000 5.757 5.757
5.757 0.000 5.757
5.757 5.757 0.000
Ti Zn N
12 12 4
Direct
0.821 0.821 0.179
0.179 0.179 0.821
0.821 0.179 0.821
0.179 0.821 0.179
0.179 0.821 0.821
0.821 0.179 0.179
0.429 0.429 0.071
0.071 0.071 0.429
0.429 0.071 0.429
0.071 0.429 0.071
0.071 0.429 0.429
0.429 0.071 0.071
0.125 0.625 0.625
0.625 0.125 0.625
0.625 0.625 0.125
0.625 0.625 0.625
0.755 0.415 0.415
0.415 0.755 0.415
0.415 0.415 0.755
0.415 0.415 0.415
0.495 0.835 0.835
0.835 0.495 0.835
0.835 0.835 0.495
0.835 0.835 0.835
0.625 0.125 0.125
0.125 0.625 0.125
0.125 0.125 0.625
0.125 0.125 0.125
```